Entry 1:
Mg7Ti | the Materials Project | PBE | optimized geometry; M_tot = 1.7 μB/f.u.; crystal system = cubic; volume = 21.88 Å³ per atom; energy of formation = 0.085 eV per atom; total energy = -2.302 eV per atom
1.0
0.000 4.440 4.440
4.440 0.000 4.440
4.440 4.440 0.000
Mg Ti
7 1
Cartesian
2.220 4.440 2.220
2.220 0.000 2.220
2.220 2.220 0.000
2.220 2.220 4.440
0.000 2.220 2.220
4.440 4.440 4.440
4.440 2.220 2.220
0.000 0.000 0.000


Entry 2:
Ge3Rh2Se3 | the Materials Project | PBE | optimized geometry; crystal system = trigonal; volume = 20.44 Å³ per atom; energy of formation = -0.680 eV per atom; total energy = -5.389 eV per atom
1.0
6.144 -6.132 0.000
6.144 6.132 0.000
0.024 0.000 8.681
Rh Se Ge
8 12 12
Cartesian
6.162 3.047 2.160
6.140 -3.069 2.192
9.214 -0.022 2.175
6.172 3.069 6.489
3.098 0.022 6.505
3.054 0.000 2.154
9.258 0.000 6.527
6.150 -3.047 6.520
5.253 -0.855 1.273
2.189 -2.159 7.446
7.437 -3.099 0.004
3.962 2.148 3.103
9.203 1.293 4.368
4.876 3.099 8.677
7.030 -5.258 5.621
8.350 -2.148 5.577
3.109 -1.293 4.313
5.282 5.258 3.060
7.059 0.855 7.408
10.123 2.159 1.234
5.038 -2.980 4.356
7.274 2.980 4.325
8.187 4.072 1.310
3.002 1.122 8.663
4.125 -4.072 7.371
5.219 -0.922 7.239
5.245 5.194 5.782
7.093 0.922 1.441
8.193 -2.059 3.020
7.067 -5.194 2.899
4.119 2.059 5.660
9.310 -1.122 0.018